i | This record from the Materials Project database describes an optimized crystal structure of Li6Ti2O7. The functional is GGA-PBE.

a b c (Å): 5.105 8.983 15.690
angles (deg): 90.00 90.36 90.00
Space group P2_1 (No. 4)
Symmetry-distinct sites (fractional):
1 Li 0.143 0.063 0.179
2 Li 0.167 0.753 0.584
3 Li 0.171 0.051 0.926
4 Li 0.188 0.219 0.061
5 Li 0.189 0.256 0.306
6 Li 0.193 0.804 0.076
7 Li 0.228 0.288 0.823
8 Li 0.236 0.500 0.656
9 Li 0.241 0.060 0.702
10 Li 0.252 0.495 0.179
11 Li 0.253 0.012 0.452
12 Li 0.262 0.237 0.553
13 Ti 0.260 0.501 0.439
14 Ti 0.280 0.774 0.300
15 Ti 0.295 0.771 0.803
16 Ti 0.316 0.508 0.966
17 O 0.053 0.885 0.236
18 O 0.085 0.623 0.356
19 O 0.123 0.551 0.541
20 O 0.157 0.646 0.889
21 O 0.158 0.954 0.813
22 O 0.180 0.697 0.703
23 O 0.198 0.317 0.948
24 O 0.209 0.301 0.426
25 O 0.218 0.580 0.067
26 O 0.327 0.009 0.044
27 O 0.344 0.268 0.193
28 O 0.391 0.032 0.569
29 O 0.462 0.882 0.379
30 O 0.496 0.181 0.768

***

ii | This record from the Materials Project database describes an optimized crystal structure of Li6Ti2O7. The functional is GGA-PBE.

a b c (Å): 10.089 10.089 2.963
angles (deg): 90.00 90.00 90.00
Space group P4_2nm (No. 102)
Symmetry-distinct sites (fractional):
1 Li 0.085 0.085 0.000
2 Li 0.108 0.300 0.497
3 Ti 0.153 0.847 0.513
4 O 0.000 0.000 0.500
5 O 0.053 0.755 0.995
6 O 0.218 0.218 0.997

***

Which of them is most stable? Easy: ii.

***

i | This record from the Materials Project database describes an optimized crystal structure of Li6Ti2O7. The functional is GGA-PBE.

a b c (Å): 10.074 5.797 9.789
angles (deg): 90.00 101.28 90.00
Space group C2/c (No. 15)
Symmetry-distinct sites (fractional):
1 Li 0.064 0.143 0.097
2 Li 0.071 0.400 0.610
3 Li 0.204 0.126 0.887
4 Ti 0.184 0.388 0.369
5 O 0.000 0.346 0.250
6 O 0.122 0.383 0.973
7 O 0.136 0.135 0.502
8 O 0.248 0.107 0.250

***

ii | This record from the Materials Project database describes an optimized crystal structure of Li6Ti2O7. The functional is GGA-PBE.

a b c (Å): 5.136 5.863 9.949
angles (deg): 90.00 110.86 90.00
Space group P2_1/c (No. 14)
Symmetry-distinct sites (fractional):
1 Li 0.185 0.003 0.129
2 Li 0.226 0.717 0.864
3 Li 0.232 0.229 0.368
4 Ti 0.261 0.506 0.135
5 O 0.005 0.227 0.502
6 O 0.053 0.506 0.255
7 O 0.494 0.737 0.745
8 O 0.500 0.000 0.500

***

Which of them is most stable? Easy: i.

***

i | This record from the Materials Project database describes an optimized crystal structure of Li2Ti3O6. The functional is GGA-PBE.

a b c (Å): 5.708 8.646 17.120
angles (deg): 90.00 90.00 90.00
Space group Fddd (No. 70, origin choice 2)
Symmetry-distinct sites (fractional):
1 Li 0.125 0.125 0.294
2 Ti 0.125 0.125 0.125
3 Ti 0.125 0.125 0.460
4 O 0.119 0.366 0.461
5 O 0.125 0.361 0.125

***

ii | This record from the Materials Project database describes an optimized crystal structure of Li2Ti3O6. The functional is GGA-PBE.

a b c (Å): 5.102 8.821 5.275
angles (deg): 90.00 108.58 90.00
Space group C2/m (No. 12)
Symmetry-distinct sites (fractional):
1 Li 0.000 0.167 0.000
2 Ti 0.000 0.000 0.500
3 Ti 0.000 0.337 0.500
4 O 0.236 0.171 0.721
5 O 0.248 0.000 0.273

***

Which of them is most stable? Easy: i.

***

i | This record from the Materials Project database describes an optimized crystal structure of Li4Ti9O20. The functional is GGA-PBE.

a b c (Å): 5.974 5.976 24.673
angles (deg): 90.00 83.07 60.08
Space group P1 (No. 1)
Symmetry-distinct sites (fractional):
1 Li 0.000 0.000 0.000
2 Li 0.043 0.474 0.426
3 Li 0.244 0.871 0.623
4 Li 0.348 0.322 0.972
5 Li 0.489 0.005 0.501
6 Li 0.545 0.726 0.174
7 Li 0.642 0.672 0.027
8 Li 0.948 0.529 0.575
9 Ti 0.091 0.701 0.097
10 Ti 0.093 0.189 0.101
11 Ti 0.191 0.413 0.703
12 Ti 0.199 0.408 0.202
13 Ti 0.280 0.615 0.304
14 Ti 0.302 0.099 0.300
15 Ti 0.383 0.804 0.901
16 Ti 0.403 0.815 0.406
17 Ti 0.493 0.508 0.503
18 Ti 0.585 0.188 0.597
19 Ti 0.603 0.196 0.098
20 Ti 0.683 0.897 0.703
21 Ti 0.705 0.385 0.699
22 Ti 0.788 0.589 0.299
23 Ti 0.792 0.595 0.805
24 Ti 0.894 0.800 0.904
25 Ti 0.899 0.289 0.902
26 Ti 0.982 0.005 0.499
27 O 0.011 0.275 0.253
28 O 0.015 0.707 0.253
29 O 0.048 0.472 0.853
30 O 0.089 0.950 0.860
31 O 0.097 0.448 0.343
32 O 0.134 0.930 0.344
33 O 0.190 0.134 0.942
34 O 0.191 0.668 0.943
35 O 0.199 0.115 0.449
36 O 0.211 0.670 0.451
37 O 0.268 0.862 0.059
38 O 0.292 0.352 0.057
39 O 0.293 0.833 0.542
40 O 0.329 0.350 0.552
41 O 0.376 0.088 0.148
42 O 0.378 0.528 0.148
43 O 0.410 0.519 0.656
44 O 0.411 0.067 0.653
45 O 0.448 0.269 0.253
46 O 0.489 0.753 0.257
47 O 0.500 0.247 0.741
48 O 0.541 0.730 0.746
49 O 0.575 0.928 0.345
50 O 0.577 0.487 0.343
51 O 0.616 0.470 0.853
52 O 0.617 0.901 0.853
53 O 0.661 0.654 0.449
54 O 0.699 0.165 0.463
55 O 0.702 0.644 0.945
56 O 0.722 0.134 0.943
57 O 0.778 0.337 0.550
58 O 0.791 0.888 0.552
59 O 0.800 0.330 0.059
60 O 0.800 0.862 0.058
61 O 0.860 0.070 0.655
62 O 0.891 0.554 0.657
63 O 0.901 0.044 0.141
64 O 0.937 0.529 0.148
65 O 0.977 0.730 0.746
66 O 0.978 0.293 0.746

***

ii | This record from the Materials Project database describes an optimized crystal structure of Li4Ti9O20. The functional is GGA-PBE.

a b c (Å): 13.688 13.688 8.365
angles (deg): 90.00 90.00 90.00
Space group I4_1/a (No. 88, origin choice 2)
Symmetry-distinct sites (fractional):
1 Li 0.113 0.454 0.187
2 Ti 0.000 0.250 0.125
3 Ti 0.062 0.153 0.766
4 Ti 0.137 0.445 0.765
5 O 0.006 0.469 0.782
6 O 0.052 0.164 0.517
7 O 0.072 0.172 0.992
8 O 0.156 0.430 0.526
9 O 0.175 0.431 0.979

***

Which of them is most stable? Easy: ii.